VASP calculation (PBE) on a relaxed Na14Nb2In6Si9S3O48 crystal.

Cell lengths 18.480, 9.245, 22.788 Å; angles 89.96, 89.84, 119.98 degrees
Atoms (fractional coordinates):
Na  0.815  0.005  0.245
Na  0.689  0.371  0.245
Na  0.501  0.623  0.247
Na  0.314  0.623  0.745
Na  0.995  0.368  0.748
Na  0.187  0.007  0.744
Na  0.152  0.337  0.585
Na  0.656  0.343  0.588
Na  0.017  0.694  0.585
Na  0.515  0.687  0.584
Na  0.326  0.971  0.587
Na  0.832  0.971  0.588
Na  0.155  0.968  0.085
Na  0.656  0.964  0.081
Na  0.330  0.689  0.084
Na  0.828  0.687  0.084
Na  0.015  0.344  0.081
Na  0.518  0.347  0.080
Na  0.488  0.669  0.917
Na  0.981  0.654  0.912
Na  0.358  0.049  0.914
Na  0.854  0.050  0.914
Na  0.161  0.298  0.917
Na  0.664  0.292  0.921
Na  0.481  0.311  0.416
Na  0.986  0.302  0.421
Na  0.163  0.036  0.425
Na  0.663  0.023  0.420
Na  0.352  0.654  0.422
Na  0.857  0.666  0.416
Na  0.004  0.002  0.504
Na  0.502  0.993  0.503
Na  0.001  0.012  0.998
Na  0.504  0.007  0.996
Na  0.342  0.335  0.823
Na  0.836  0.328  0.828
Na  0.335  0.333  0.333
Na  0.842  0.350  0.324
Na  0.165  0.665  0.161
Na  0.667  0.666  0.165
Na  0.165  0.666  0.666
Na  0.668  0.669  0.664
Nb  0.998  0.997  0.650
Nb  0.496  0.990  0.647
Nb  0.995  0.002  0.146
Nb  0.507  0.015  0.145
Nb  0.157  0.644  0.314
Nb  0.661  0.681  0.810
In  0.002  0.999  0.348
In  0.502  0.998  0.345
In  0.999  0.009  0.842
In  0.503  0.006  0.847
In  0.336  0.332  0.684
In  0.835  0.337  0.683
In  0.334  0.321  0.180
In  0.837  0.341  0.184
In  0.340  0.336  0.991
In  0.836  0.328  0.986
In  0.336  0.343  0.489
In  0.839  0.341  0.494
In  0.162  0.654  0.019
In  0.662  0.664  0.018
In  0.162  0.659  0.520
In  0.663  0.672  0.521
In  0.661  0.662  0.308
In  0.160  0.659  0.808
Si  0.649  0.004  0.250
Si  0.854  0.706  0.253
Si  0.999  0.289  0.251
Si  0.494  0.287  0.252
Si  0.149  0.293  0.750
Si  0.996  0.704  0.753
Si  0.498  0.708  0.752
Si  0.353  0.001  0.753
Si  0.849  0.998  0.751
Si  0.480  0.329  0.582
Si  0.982  0.329  0.585
Si  0.185  0.039  0.583
Si  0.686  0.043  0.583
Si  0.332  0.630  0.584
Si  0.833  0.632  0.582
Si  0.481  0.634  0.086
Si  0.980  0.631  0.083
Si  0.333  0.030  0.082
Si  0.831  0.035  0.084
Si  0.188  0.330  0.085
Si  0.689  0.339  0.083
Si  0.019  0.367  0.916
Si  0.520  0.372  0.916
Si  0.666  0.966  0.917
Si  0.166  0.367  0.417
Si  0.017  0.666  0.418
Si  0.518  0.668  0.415
S  0.149  0.997  0.250
S  0.349  0.704  0.250
S  0.648  0.300  0.750
S  0.313  0.664  0.917
S  0.812  0.667  0.915
S  0.168  0.964  0.917
S  0.312  0.955  0.414
S  0.813  0.962  0.417
S  0.668  0.371  0.417
O  0.112  0.020  0.305
O  0.611  0.037  0.310
O  0.399  0.777  0.305
O  0.906  0.786  0.313
O  0.482  0.182  0.313
O  0.988  0.188  0.311
O  0.114  0.186  0.811
O  0.612  0.203  0.805
O  0.486  0.788  0.811
O  0.987  0.785  0.814
O  0.405  0.025  0.813
O  0.902  0.033  0.812
O  0.407  0.979  0.697
O  0.899  0.973  0.694
O  0.083  0.188  0.695
O  0.594  0.215  0.698
O  0.007  0.830  0.696
O  0.514  0.833  0.694
O  0.391  0.810  0.198
O  0.907  0.836  0.197
O  0.015  0.197  0.194
O  0.504  0.181  0.196
O  0.096  0.971  0.198
O  0.583  0.980  0.195
O  0.440  0.378  0.635
O  0.941  0.370  0.640
O  0.244  0.117  0.640
O  0.748  0.129  0.637
O  0.314  0.515  0.641
O  0.809  0.502  0.636
O  0.442  0.518  0.144
O  0.942  0.504  0.137
O  0.307  0.105  0.137
O  0.813  0.111  0.142
O  0.249  0.371  0.140
O  0.743  0.369  0.141
O  0.221  0.286  0.024
O  0.722  0.288  0.023
O  0.424  0.570  0.026
O  0.923  0.570  0.023
O  0.360  0.147  0.023
O  0.860  0.150  0.026
O  0.220  0.153  0.522
O  0.718  0.151  0.521
O  0.360  0.573  0.524
O  0.858  0.572  0.520
O  0.424  0.276  0.521
O  0.926  0.280  0.523
O  0.275  0.692  0.971
O  0.777  0.694  0.971
O  0.077  0.444  0.975
O  0.575  0.445  0.976
O  0.158  0.863  0.971
O  0.649  0.851  0.975
O  0.277  0.858  0.469
O  0.775  0.857  0.469
O  0.150  0.454  0.473
O  0.657  0.452  0.470
O  0.078  0.706  0.473
O  0.578  0.712  0.473
O  0.073  0.645  0.360
O  0.560  0.633  0.357
O  0.258  0.865  0.363
O  0.762  0.881  0.363
O  0.177  0.502  0.360
O  0.680  0.475  0.363
O  0.062  0.490  0.859
O  0.576  0.504  0.861
O  0.181  0.886  0.864
O  0.677  0.857  0.861
O  0.262  0.644  0.864
O  0.758  0.649  0.865
O  0.009  0.833  0.410
O  0.505  0.835  0.411
O  0.397  0.973  0.409
O  0.898  0.982  0.413
O  0.082  0.185  0.410
O  0.589  0.204  0.414
O  0.008  0.177  0.914
O  0.509  0.185  0.911
O  0.090  0.976  0.914
O  0.581  0.979  0.911
O  0.399  0.814  0.914
O  0.898  0.817  0.912
O  0.491  0.161  0.595
O  0.990  0.158  0.592
O  0.090  0.019  0.592
O  0.592  0.027  0.593
O  0.420  0.820  0.593
O  0.919  0.818  0.592
O  0.488  0.821  0.095
O  0.991  0.821  0.096
O  0.417  0.013  0.095
O  0.919  0.019  0.093
O  0.093  0.158  0.095
O  0.592  0.165  0.091
O  0.338  0.157  0.747
O  0.841  0.163  0.744
O  0.241  0.313  0.745
O  0.731  0.318  0.744
O  0.415  0.529  0.745
O  0.917  0.515  0.748
O  0.341  0.537  0.245
O  0.838  0.518  0.247
O  0.416  0.323  0.247
O  0.917  0.304  0.246
O  0.233  0.148  0.245
O  0.740  0.168  0.245
O  0.319  0.509  0.922
O  0.818  0.513  0.918
O  0.428  0.364  0.917
O  0.927  0.358  0.920
O  0.243  0.135  0.921
O  0.751  0.147  0.916
O  0.319  0.121  0.416
O  0.819  0.128  0.421
O  0.252  0.358  0.415
O  0.742  0.350  0.420
O  0.426  0.495  0.420
O  0.927  0.491  0.417
O  0.174  0.492  0.081
O  0.673  0.496  0.078
O  0.077  0.666  0.078
O  0.575  0.659  0.082
O  0.253  0.842  0.075
O  0.754  0.844  0.078
O  0.174  0.852  0.578
O  0.673  0.854  0.581
O  0.255  0.666  0.577
O  0.752  0.660  0.575
O  0.076  0.491  0.581
O  0.576  0.487  0.577
O  0.158  0.843  0.257
O  0.651  0.829  0.248
O  0.266  0.694  0.256
O  0.763  0.704  0.253
O  0.088  0.482  0.257
O  0.584  0.464  0.249
O  0.152  0.473  0.749
O  0.653  0.467  0.755
O  0.086  0.706  0.748
O  0.586  0.694  0.756
O  0.264  0.822  0.753
O  0.758  0.818  0.759

Electronic total energy ... -6.424 eV per atom
Energy of formation from the pure elements ... -2.5095 eV/atom
Space-group type ... No. 1


VASP calculation (PBE) on a relaxed SiO2 crystal.

Cell lengths 13.240, 13.240, 29.168 Å; angles 90.00, 90.00, 142.55 degrees
Atoms (fractional coordinates):
Si  0.591  0.043  0.608
Si  0.171  0.458  0.539
Si  0.490  0.144  0.942
Si  0.091  0.543  0.892
Si  0.082  0.538  0.200
Si  0.038  0.582  0.700
Si  0.457  0.909  0.892
Si  0.386  0.246  0.608
Si  0.084  0.296  0.300
Si  0.957  0.409  0.608
Si  0.254  0.114  0.892
Si  0.462  0.918  0.200
Si  0.329  0.042  0.039
Si  0.918  0.462  0.800
Si  0.246  0.386  0.392
Si  0.796  0.584  0.800
Si  0.886  0.746  0.892
Si  0.298  0.347  0.949
Si  0.856  0.510  0.942
Si  0.010  0.356  0.442
Si  0.542  0.829  0.539
Si  0.754  0.614  0.608
Si  0.543  0.091  0.108
Si  0.614  0.754  0.392
Si  0.538  0.082  0.800
Si  0.043  0.591  0.392
Si  0.584  0.796  0.200
Si  0.356  0.010  0.558
Si  0.418  0.962  0.700
Si  0.798  0.847  0.551
Si  0.671  0.958  0.961
Si  0.829  0.542  0.461
Si  0.702  0.653  0.051
Si  0.144  0.490  0.058
Si  0.042  0.329  0.961
Si  0.909  0.457  0.108
Si  0.416  0.204  0.800
Si  0.653  0.702  0.949
Si  0.153  0.202  0.551
Si  0.990  0.644  0.558
Si  0.510  0.856  0.058
Si  0.409  0.957  0.392
Si  0.916  0.704  0.700
Si  0.458  0.171  0.461
Si  0.644  0.990  0.442
Si  0.204  0.416  0.200
Si  0.958  0.671  0.039
Si  0.202  0.153  0.449
Si  0.114  0.254  0.108
Si  0.746  0.886  0.108
Si  0.296  0.084  0.700
Si  0.847  0.798  0.449
Si  0.582  0.038  0.300
Si  0.704  0.916  0.300
Si  0.347  0.298  0.051
Si  0.962  0.418  0.300
O  0.582  0.916  0.190
O  0.468  0.003  0.339
O  0.176  0.406  0.082
O  0.801  0.776  0.916
O  0.094  0.324  0.418
O  0.174  0.174  0.500
O  0.913  0.087  0.104
O  0.486  0.919  0.419
O  0.326  0.326  0.000
O  0.974  0.026  0.572
O  0.497  0.003  0.750
O  0.676  0.906  0.418
O  0.049  0.387  0.496
O  0.889  0.526  0.416
O  0.451  0.113  0.996
O  0.526  0.889  0.584
O  0.497  0.032  0.161
O  0.418  0.084  0.810
O  0.191  0.809  0.566
O  0.026  0.974  0.428
O  0.594  0.824  0.082
O  0.087  0.913  0.896
O  0.860  0.140  0.974
O  0.416  0.082  0.690
O  0.389  0.026  0.084
O  0.014  0.581  0.919
O  0.809  0.191  0.434
O  0.997  0.532  0.339
O  0.270  0.730  0.197
O  0.640  0.360  0.474
O  0.802  0.669  0.661
O  0.084  0.418  0.190
O  0.532  0.997  0.661
O  0.514  0.081  0.581
O  0.309  0.691  0.066
O  0.387  0.049  0.504
O  0.918  0.584  0.690
O  0.337  0.163  0.750
O  0.669  0.802  0.339
O  0.163  0.337  0.250
O  0.276  0.301  0.416
O  0.419  0.986  0.919
O  0.698  0.831  0.161
O  0.584  0.918  0.310
O  0.674  0.674  0.000
O  0.730  0.270  0.803
O  0.986  0.419  0.081
O  0.770  0.230  0.303
O  0.663  0.832  0.950
O  0.897  0.103  0.302
O  0.360  0.640  0.526
O  0.331  0.198  0.661
O  0.292  0.708  0.894
O  0.613  0.951  0.496
O  0.603  0.397  0.802
O  0.708  0.292  0.106
O  0.032  0.497  0.839
O  0.103  0.897  0.698
O  0.831  0.698  0.839
O  0.832  0.663  0.050
O  0.503  0.968  0.839
O  0.406  0.176  0.918
O  0.397  0.603  0.198
O  0.168  0.337  0.950
O  0.997  0.503  0.750
O  0.332  0.163  0.450
O  0.691  0.309  0.934
O  0.199  0.224  0.084
O  0.224  0.199  0.916
O  0.837  0.663  0.750
O  0.587  0.413  0.604
O  0.208  0.792  0.394
O  0.724  0.699  0.584
O  0.549  0.887  0.004
O  0.663  0.837  0.250
O  0.951  0.613  0.504
O  0.611  0.974  0.916
O  0.111  0.474  0.584
O  0.324  0.094  0.582
O  0.230  0.770  0.697
O  0.503  0.997  0.250
O  0.169  0.302  0.161
O  0.887  0.549  0.996
O  0.916  0.582  0.810
O  0.301  0.276  0.584
O  0.198  0.331  0.339
O  0.026  0.389  0.916
O  0.919  0.486  0.581
O  0.474  0.526  0.928
O  0.140  0.860  0.026
O  0.474  0.111  0.416
O  0.968  0.503  0.161
O  0.776  0.801  0.084
O  0.081  0.514  0.419
O  0.974  0.611  0.084
O  0.699  0.724  0.416
O  0.302  0.169  0.839
O  0.837  0.668  0.450
O  0.906  0.676  0.582
O  0.113  0.451  0.004
O  0.526  0.474  0.072
O  0.163  0.332  0.550
O  0.792  0.208  0.606
O  0.581  0.014  0.081
O  0.824  0.594  0.918
O  0.413  0.587  0.396
O  0.826  0.826  0.500
O  0.082  0.416  0.310
O  0.337  0.168  0.050
O  0.668  0.837  0.550
O  0.003  0.497  0.250
O  0.003  0.468  0.661

Electronic total energy ... -7.904 eV per atom
Energy of formation from the pure elements ... -3.2551 eV/atom
Space-group type ... No. 64